# 1
First-principles (GGA-PBE) data for a relaxed structure of Na9Sr2La9Ti20O60, as listed in the Materials Project database.

Summary:
E (MP2020)	-8.59	eV/atom

```
Na9Sr2La9Ti20O60
1.0
5.521 0.000 0.000
2.751 4.788 0.000
2.712 1.600 45.116
Na Sr La Ti O
9 2 9 20 60
direct
0.000 0.000 0.000
0.099 0.101 0.701
0.199 0.201 0.401
0.399 0.401 0.802
0.499 0.501 0.501
0.600 0.601 0.200
0.699 0.701 0.901
0.799 0.801 0.601
0.899 0.901 0.301
0.300 0.300 0.100
0.652 0.647 0.049
0.051 0.050 0.851
0.151 0.149 0.551
0.250 0.249 0.251
0.353 0.348 0.951
0.450 0.449 0.651
0.550 0.550 0.351
0.751 0.749 0.752
0.850 0.850 0.451
0.951 0.950 0.151
0.027 0.024 0.926
0.075 0.073 0.776
0.126 0.125 0.626
0.175 0.174 0.476
0.226 0.226 0.326
0.274 0.275 0.176
0.333 0.317 0.024
0.375 0.374 0.876
0.426 0.425 0.726
0.476 0.473 0.576
0.526 0.526 0.426
0.575 0.573 0.276
0.626 0.625 0.125
0.676 0.673 0.975
0.726 0.726 0.827
0.776 0.773 0.676
0.826 0.825 0.526
0.875 0.874 0.376
0.925 0.926 0.226
0.981 0.971 0.073
0.014 0.465 0.506
0.019 0.564 0.855
0.032 0.488 0.996
0.038 0.580 0.347
0.042 0.959 0.501
0.113 0.566 0.206
0.117 0.189 0.051
0.119 0.663 0.555
0.135 0.586 0.696
0.139 0.674 0.047
0.141 0.058 0.201
0.197 0.303 0.751
0.216 0.664 0.906
0.220 0.763 0.255
0.236 0.686 0.396
0.237 0.780 0.747
0.243 0.158 0.901
0.296 0.404 0.451
0.314 0.766 0.606
0.318 0.865 0.955
0.323 0.792 0.097
0.337 0.881 0.447
0.342 0.259 0.601
0.395 0.501 0.150
0.414 0.865 0.306
0.420 0.963 0.655
0.435 0.886 0.796
0.436 0.983 0.147
0.442 0.359 0.301
0.497 0.603 0.851
0.509 0.978 0.004
0.520 0.062 0.355
0.535 0.987 0.496
0.536 0.081 0.847
0.537 0.459 0.999
0.596 0.704 0.551
0.614 0.065 0.706
0.624 0.164 0.054
0.634 0.088 0.196
0.637 0.181 0.547
0.642 0.559 0.701
0.696 0.805 0.251
0.714 0.165 0.406
0.720 0.263 0.755
0.736 0.185 0.896
0.739 0.281 0.246
0.742 0.658 0.401
0.799 0.901 0.950
0.810 0.270 0.106
0.819 0.363 0.455
0.835 0.287 0.596
0.835 0.770 0.102
0.836 0.382 0.946
0.896 0.004 0.651
0.914 0.365 0.806
0.922 0.462 0.155
0.935 0.387 0.296
0.937 0.481 0.647
0.941 0.859 0.801
0.997 0.104 0.351
```



# 2
First-principles (GGA-PBE) data for a relaxed structure of NaLaTa2O7, as listed in the Materials Project database.

Summary:
E (MP2020)	-9.25	eV/atom

```
NaLaTa2O7
1.0
-1.963 1.963 10.861
1.963 -1.963 10.861
1.963 1.963 -10.861
Na La Ta O
1 1 2 7
direct
0.000 0.000 0.000
0.750 0.250 0.500
0.146 0.646 0.500
0.354 0.854 0.500
0.063 0.563 0.500
0.165 0.165 0.000
0.250 0.750 0.500
0.335 0.335 0.000
0.437 0.937 0.500
0.665 0.665 0.000
0.835 0.835 0.000
```



# 3
First-principles (GGA-PBE) data for a relaxed structure of NaLa2TaTi2O10, as listed in the Materials Project database.

Summary:
E (MP2020)	-9.03	eV/atom

```
NaLa2TaTi2O10
1.0
3.882 0.000 0.000
0.001 3.886 0.000
1.832 1.833 14.966
Na La Ta Ti O
1 2 1 2 10
direct
0.000 0.000 0.000
0.181 0.685 0.630
0.338 0.844 0.333
0.601 0.106 0.788
0.737 0.242 0.494
0.899 0.405 0.196
0.114 0.119 0.758
0.221 0.207 0.506
0.378 0.385 0.235
0.544 0.050 0.908
0.615 0.620 0.757
0.666 0.172 0.632
0.702 0.726 0.505
0.798 0.302 0.370
0.881 0.884 0.233
0.955 0.460 0.083
```



# 4
First-principles (GGA-PBE) data for a relaxed structure of NaLaTi2O6, as listed in the Materials Project database.

Summary:
E (MP2020)	-8.61	eV/atom

```
NaLaTi2O6
1.0
7.782 0.000 0.000
0.000 5.519 0.000
0.000 0.000 5.494
Na La Ti O
2 2 4 12
direct
0.000 0.223 0.000
0.500 0.777 0.500
0.000 0.723 0.510
0.500 0.277 0.010
0.249 0.247 0.508
0.251 0.753 0.008
0.749 0.753 0.008
0.751 0.247 0.508
0.000 0.260 0.446
0.000 0.761 0.069
0.217 0.967 0.721
0.219 0.471 0.781
0.281 0.529 0.281
0.283 0.033 0.221
0.500 0.239 0.569
0.500 0.740 0.946
0.717 0.033 0.221
0.719 0.529 0.281
0.781 0.471 0.781
0.783 0.967 0.721
```



# 5
First-principles (GGA-PBE) data for a relaxed structure of NaLaTiO4, as listed in the Materials Project database.

Summary:
E (MP2020)	-8.22	eV/atom

```
NaLaTiO4
1.0
3.788 0.000 0.000
0.000 3.788 0.000
0.000 0.000 13.210
Na La Ti O
2 2 2 8
direct
0.250 0.250 0.083
0.750 0.750 0.917
0.250 0.250 0.391
0.750 0.750 0.609
0.250 0.250 0.775
0.750 0.750 0.225
0.250 0.250 0.569
0.250 0.250 0.908
0.250 0.750 0.261
0.250 0.750 0.739
0.750 0.250 0.261
0.750 0.250 0.739
0.750 0.750 0.092
0.750 0.750 0.431
```



# 6
First-principles (GGA-PBE) data for a relaxed structure of NaLaZrTiO6, as listed in the Materials Project database.

Summary:
E (MP2020)	-8.65	eV/atom

```
NaLaZrTiO6
1.0
0.000 4.033 4.033
4.033 0.000 4.033
4.033 4.033 0.000
Na La Zr Ti O
1 1 1 1 6
direct
0.000 0.000 0.000
0.500 0.500 0.500
0.750 0.750 0.750
0.250 0.250 0.250
0.008 0.008 0.492
0.008 0.492 0.008
0.008 0.492 0.492
0.492 0.008 0.008
0.492 0.008 0.492
0.492 0.492 0.008
```



# 7
First-principles (GGA-PBE) data for a relaxed structure of NaLaZr2O6, as listed in the Materials Project database.

Summary:
E (MP2020)	-8.71	eV/atom

```
NaLaZr2O6
1.0
0.000 4.165 4.165
4.165 0.000 4.165
4.165 4.165 0.000
Na La Zr O
1 1 2 6
direct
0.000 0.000 0.000
0.500 0.500 0.500
0.250 0.250 0.250
0.750 0.750 0.750
0.000 0.000 0.500
0.000 0.500 0.000
0.000 0.500 0.500
0.500 0.000 0.000
0.500 0.000 0.500
0.500 0.500 0.000
```



# 8
First-principles (GGA-PBE) data for a relaxed structure of NaLaZr2O6, as listed in the Materials Project database.

Summary:
E (MP2020)	-8.85	eV/atom

```
NaLaZr2O6
1.0
-2.941 4.089 2.897
2.941 -4.089 2.897
2.941 4.089 -2.897
Na La Zr O
1 1 2 6
direct
0.000 0.000 0.000
0.468 0.968 0.500
0.241 0.488 0.753
0.735 0.488 0.247
0.059 0.512 0.067
0.059 0.991 0.547
0.444 0.512 0.453
0.444 0.991 0.933
0.586 0.586 0.000
0.877 0.377 0.500
```



# 9
First-principles (GGA-PBE) data for a relaxed structure of NaLaSe2, as listed in the Materials Project database.

Summary:
E (MP2020)	-5.22	eV/atom

```
NaLaSe2
1.0
4.372 0.000 0.000
0.000 4.372 0.000
0.000 0.000 5.910
Na La Se
1 1 2
direct
0.000 0.000 0.000
0.500 0.500 0.500
0.000 0.000 0.500
0.500 0.500 0.000
```



# 10
First-principles (GGA-PBE) data for a relaxed structure of NaLaSe2, as listed in the Materials Project database.

Summary:
E (MP2020)	-5.30	eV/atom

```
NaLaSe2
1.0
2.193 1.266 7.021
-2.193 1.266 7.021
0.000 -2.532 7.021
Na La Se
1 1 2
direct
0.000 0.000 0.000
0.500 0.500 0.500
0.245 0.245 0.245
0.755 0.755 0.755
```



# 11
First-principles (GGA-PBE) data for a relaxed structure of NaLa8Se12, as listed in the Materials Project database.

Summary:
E (MP2020)	-6.19	eV/atom

```
NaLa8Se12
1.0
-4.548 4.548 13.670
4.548 -4.548 13.670
4.548 4.548 -13.670
Na La Se
2 16 24
direct
0.000 0.000 0.000
0.750 0.250 0.500
0.037 0.659 0.115
0.079 0.963 0.622
0.083 0.583 0.500
0.206 0.591 0.878
0.333 0.333 0.000
0.341 0.456 0.378
0.375 0.005 0.130
0.409 0.287 0.615
0.417 0.917 0.500
0.544 0.921 0.885
0.667 0.667 0.000
0.671 0.794 0.385
0.713 0.329 0.122
0.755 0.625 0.630
0.875 0.245 0.870
0.995 0.125 0.370
0.009 0.609 0.251
0.029 0.924 0.747
0.032 0.427 0.753
0.060 0.311 0.903
0.061 0.310 0.403
0.076 0.823 0.106
0.177 0.282 0.253
0.243 0.991 0.600
0.342 0.939 0.249
0.358 0.757 0.749
0.359 0.259 0.751
0.391 0.642 0.400
0.392 0.641 0.900
0.408 0.157 0.097
0.507 0.608 0.249
0.573 0.326 0.606
0.674 0.279 0.247
0.689 0.592 0.749
0.690 0.093 0.751
0.718 0.971 0.894
0.721 0.968 0.394
0.741 0.493 0.100
0.843 0.940 0.251
0.907 0.658 0.597
```



# 12
First-principles (GGA-PBE) data for a relaxed structure of La3Nb, as listed in the Materials Project database.

Summary:
E_tot	-5.873	eV/atom

```
La3Nb
1.0
-2.470 2.470 4.803
2.470 -2.470 4.803
2.470 2.470 -4.803
La Nb
3 1
direct
0.000 0.000 0.000
0.250 0.750 0.500
0.750 0.250 0.500
0.500 0.500 0.000
```